Entry from the Materials Project database: crystalline BaMgSb2O6 at its relaxed geometry (PBE).

Cell and atoms, written as extended XYZ:
```
10
Lattice="5.6029 0.0000 0.0000 -2.8014 4.8522 0.0000 0.0000 0.0000 6.4105" Properties=species:S:1:pos:R:3 pbc="T T T"
Ba 0.0000 0.0000 0.0000
Mg 0.0000 0.0000 3.2052
Sb 0.0000 3.2348 3.2052
Sb 2.8014 1.6174 3.2052
O -0.9237 1.5999 2.1058
O -1.8778 3.2524 4.3047
O 1.8474 0.0000 2.1058
O 0.9237 1.5999 4.3047
O 3.7555 0.0000 4.3047
O 1.8778 3.2524 2.1058
```

Summary:
* calculated density: 4.77 g cm⁻³
* M_tot: 0.00 Bohr magnetons per cell
* ΔE_f: -2.2089 eV per atom

Entry from the Materials Project database: crystalline Ba2YMgSbO6 at its relaxed geometry (PBE).

Cell and atoms, written as extended XYZ:
```
11
Lattice="-3.0784 3.1418 4.9608 3.0784 -3.1418 4.9608 3.0784 3.1418 -4.9608" Properties=species:S:1:pos:R:3 pbc="T T T"
Ba 0.0000 0.0000 1.9128
Ba 0.0000 0.0000 8.0087
Y 0.0000 3.1418 0.0000
Mg 0.0000 0.0000 4.9608
Sb 3.0784 0.0000 0.0000
O 3.0784 0.0000 2.5423
O 1.6434 1.6841 0.0000
O 1.4350 -1.4577 4.9608
O 1.6434 4.5996 0.0000
O 1.4350 1.4577 4.9608
O 0.0000 3.1418 2.4184
```

Summary:
* calculated density: 5.24 g cm⁻³
* M_tot: 0.00 Bohr magnetons per cell
* ΔE_f: -2.5471 eV per atom

Entry from the Materials Project database: crystalline Ba2YMgSbO6 at its relaxed geometry (PBE).

Cell and atoms, written as extended XYZ:
```
11
Lattice="5.4147 -3.1262 0.0000 5.4147 3.1262 0.0000 -3.6151 0.0000 6.5410" Properties=species:S:1:pos:R:3 pbc="T T T"
Ba 0.0000 0.0000 0.0000
Ba 3.6069 0.0000 4.2197
Y 7.2144 0.0000 3.0737
Mg -0.0039 0.0000 4.5193
Sb 3.6044 0.0000 0.8770
O -1.9109 0.0000 4.5901
O 0.9483 1.6516 4.5933
O 2.7596 1.4523 1.8753
O 2.7596 -1.4523 1.8753
O 5.2758 0.0000 1.8906
O 0.9483 -1.6516 4.5933
```

Summary:
* calculated density: 4.54 g cm⁻³
* M_tot: 0.00 Bohr magnetons per cell
* ΔE_f: -2.7940 eV per atom